(1)
# Tl2O

A relaxed structure of Tl2O (PBE-GGA, Materials Project).

extended XYZ file:
```
6
Lattice="3.137 -1.818 0.000 3.137 1.818 0.000 -2.063 0.000 13.009" Properties=species:S:1:pos:R:3 pbc="T T T"
Tl 0.039 0.000 4.744
Tl -0.006 0.000 11.282
Tl 4.217 0.000 1.728
Tl 4.171 0.000 8.265
O 2.144 0.000 3.239
O 2.067 0.000 9.770
```

Results
* energy with MP2020 corrections: -4.042 eV per atom
* relative energy among the computed polymorphs: 0.0028 eV per atom
* total DFT energy (no corrections): -3.8126 eV/atom
* space group: C2/m (12)
* energy of formation from the pure elements: -817.1 meV/atom



(2)
# BiPbClO2

A relaxed structure of BiPbClO2 (PBE-GGA, Materials Project).

extended XYZ file:
```
10
Lattice="2.858 -6.342 0.000 2.858 6.342 0.000 0.000 0.000 5.654" Properties=species:S:1:pos:R:3 pbc="T T T"
Bi 2.858 5.231 4.241
Bi 2.858 -5.231 1.414
Pb 2.858 1.354 4.241
Pb 2.858 -1.354 1.414
Cl 2.858 3.121 1.414
Cl 2.858 -3.121 4.241
O 1.359 0.000 0.000
O 1.359 0.000 2.827
O 4.357 0.000 0.000
O 4.357 0.000 2.827
```

Results
* energy with MP2020 corrections: -5.427 eV per atom
* total magnetic moment: 0.00 μB/cell
* total DFT energy (no corrections): -5.1518 eV/atom
* space group: Cmcm (63)
* energy of formation from the pure elements: -1557.1 meV/atom



(3)
# TbCdAu

A relaxed structure of TbCdAu (PBE-GGA, Materials Project).

extended XYZ file:
```
9
Lattice="7.932 0.000 0.000 -3.966 6.869 0.000 0.000 0.000 3.851" Properties=species:S:1:pos:R:3 pbc="T T T"
Tb -2.361 4.090 0.000
Tb 1.605 2.779 0.000
Tb 4.722 0.000 0.000
Cd -1.050 1.818 1.926
Cd 2.099 0.000 1.926
Cd 2.916 5.051 1.926
Au 0.000 0.000 0.000
Au 0.000 4.579 1.926
Au 3.966 2.290 1.926
```

Results
* total DFT energy (no corrections): -3.6027 eV/atom
* space group: P-62m (189)
* energy of formation from the pure elements: -659.0 meV/atom



(4)
# Na3GaSiGeP2O12

A relaxed structure of Na3GaSiGeP2O12 (PBE-GGA, Materials Project).

extended XYZ file:
```
80
Lattice="5.651 1.721 -13.885 -2.092 -8.298 -1.880 -8.365 1.578 2.347" Properties=species:S:1:pos:R:3 pbc="T T T"
O -3.308 -4.928 -7.699
O -2.657 1.650 -7.442
O -7.586 -5.826 -0.922
O -5.860 -4.533 -8.350
Na 0.640 -2.001 -9.703
O 2.177 -0.548 -7.701
Ge -4.376 -3.271 -11.679
O -2.757 -2.105 -11.126
O -2.027 -2.882 -2.326
O -0.195 0.557 -8.192
O -0.911 -0.529 -3.264
O -5.088 -1.640 0.184
Ge 0.890 0.237 -11.878
O 2.823 -3.664 -12.900
Ge -2.982 -4.773 -5.876
O -5.219 -7.038 -1.674
O -7.544 1.120 1.169
P 3.423 1.805 -13.305
O -1.148 -4.229 -6.350
O -1.694 -5.558 -1.698
P -0.449 -3.205 -7.302
O -7.007 -4.636 -5.670
Na -2.928 -2.784 -0.187
O -2.949 -4.339 -12.518
O -1.901 -0.655 -0.745
Ga 1.314 -5.153 -9.685
O -6.529 -3.359 -1.439
O -0.121 -3.943 -8.627
Na -1.149 -6.072 -8.069
O -4.728 -1.051 -4.636
O -2.132 -6.656 -6.014
O -3.596 -3.023 -5.615
O -0.795 -0.634 -11.219
P -0.355 0.147 -4.530
Si -6.257 -1.820 -1.014
O 0.868 -3.817 -11.146
Na -1.511 -4.324 -10.715
Ga -5.659 -5.085 -1.538
O -7.639 -1.245 -0.468
P -2.320 -0.614 -10.845
Na -7.591 -3.899 0.555
Ge -6.156 0.017 -3.796
Na -4.560 0.963 -8.522
O -3.136 0.374 -11.673
O -1.348 -2.028 -7.677
O 0.340 -3.220 -13.482
O 2.723 0.780 -12.353
P 1.424 -3.142 -12.412
O -4.666 -5.643 -5.216
Si -2.526 -4.400 -2.593
O -2.276 -4.925 -4.152
P -4.475 -1.794 -5.988
Na -3.719 1.111 -5.447
O -4.537 1.183 -3.243
O -5.764 -2.169 -6.714
O 1.043 -0.375 -5.017
O -2.637 -0.341 -9.364
O -6.508 -5.350 -3.362
P -6.192 -5.623 -4.842
O 1.596 0.085 -10.154
O 0.276 1.986 -11.618
O 1.740 -1.646 -12.016
O -5.638 -0.883 -2.241
Na -3.232 -7.011 -3.700
O 0.848 -2.778 -6.554
Na -3.291 -1.036 -2.832
O -4.066 -4.453 -2.189
O -3.714 -0.817 -6.924
O -0.247 -6.170 -10.208
Na -8.431 -4.047 -2.520
Na -3.808 -2.266 -8.768
Na -5.588 1.023 -0.885
O -1.440 0.068 -5.599
Si -4.477 -5.108 -8.896
P -2.695 -5.082 -13.871
Ga -0.466 -1.865 -1.803
O -3.859 -4.171 -10.124
O 2.627 -6.066 -14.437
Ga -1.788 -0.076 -7.540
Si 1.346 0.610 -8.595
```

Results
* energy with MP2020 corrections: -6.894 eV per atom
* relative energy among the computed polymorphs: 0.0029 eV per atom
* total magnetic moment: 0.00 μB/cell
* total DFT energy (no corrections): -6.4820 eV/atom
* energy of formation from the pure elements: -2531.8 meV/atom



(5)
# Na2YGaSiS2O12

A relaxed structure of Na2YGaSiS2O12 (PBE-GGA, Materials Project).

extended XYZ file:
```
114
Lattice="8.983 0.000 0.000 4.468 7.834 0.000 0.314 0.602 23.028" Properties=species:S:1:pos:R:3 pbc="T T T"
Na 0.000 0.000 0.000
Na 2.937 5.169 11.726
Na 1.343 2.296 1.913
Na 5.912 5.673 21.150
Na 5.851 5.345 9.920
Na 4.502 2.828 8.216
Na 7.486 7.972 19.607
Na 10.507 8.087 17.401
Na 10.544 7.780 5.967
Na 8.664 0.513 15.528
Na 11.582 5.359 4.331
Na 10.471 2.922 13.680
Y 5.672 5.709 17.739
Y 5.639 5.447 6.403
Y 5.771 5.365 1.464
Y 10.068 7.880 2.353
Y 10.295 7.907 9.490
Y 10.142 2.608 5.445
Ga 1.539 2.719 10.278
Ga 5.599 5.138 13.265
Ga 10.076 8.009 13.930
Ga 10.519 8.340 20.767
Ga 10.257 3.166 17.063
Ga 10.479 3.000 21.500
Si 3.346 0.632 22.834
Si 4.491 2.510 11.678
Si 9.011 0.906 19.276
Si 11.496 5.009 7.877
Si 11.955 5.571 15.379
Si 13.273 7.669 3.764
S 3.963 3.012 19.261
S 2.577 0.431 7.990
S 7.154 7.856 15.409
S 4.434 2.941 3.994
S 7.161 3.207 15.453
S 8.396 5.247 3.968
S 8.824 5.633 11.819
S 7.366 2.878 22.926
S 7.619 2.756 7.996
S 9.156 5.341 19.364
S 11.691 5.987 23.010
S 13.124 8.079 11.782
O 3.957 6.085 16.583
O 4.732 6.978 2.331
O 4.722 6.708 5.037
O 3.879 5.196 0.044
O 3.893 5.214 14.043
O 5.034 6.889 11.901
O 5.252 7.267 19.194
O 1.991 1.334 15.436
O 2.340 1.962 22.813
O 2.941 2.954 3.939
O 2.826 2.745 11.678
O 4.172 5.066 7.950
O 2.024 1.106 9.186
O 3.054 2.932 18.088
O 3.216 3.226 20.524
O 2.191 1.110 6.734
O 4.893 4.174 19.176
O 6.552 7.018 14.355
O 6.527 6.876 7.998
O 6.786 7.161 22.787
O 4.906 3.694 2.813
O 5.101 4.060 11.832
O 4.892 3.569 5.260
O 7.023 7.201 16.754
O 3.836 0.135 1.205
O 4.750 1.759 19.259
O 4.055 0.426 8.013
O 4.969 1.944 10.242
O 4.923 1.549 3.969
O 8.625 8.056 15.253
O 4.964 1.505 12.884
O 8.835 8.302 21.538
O 7.372 5.554 12.075
O 6.701 4.190 23.011
O 6.654 3.928 16.645
O 6.795 4.003 8.001
O 7.664 5.472 19.332
O 6.861 4.001 14.216
O 7.555 5.168 2.756
O 7.596 5.183 5.197
O 9.000 6.383 10.542
O 9.170 6.513 3.979
O 6.561 1.854 15.392
O 6.822 2.143 21.765
O 6.667 1.601 7.974
O 9.736 6.712 19.396
O 9.582 6.344 12.907
O 6.858 1.489 1.154
O 8.358 2.665 6.714
O 8.646 3.066 15.496
O 8.495 2.723 9.174
O 9.540 4.556 20.558
O 9.636 4.720 18.101
O 7.364 0.698 19.442
O 9.465 4.300 11.724
O 9.373 4.128 3.900
O 11.066 6.959 15.104
O 8.843 3.051 22.829
O 10.873 6.509 7.944
O 11.638 7.663 3.870
O 10.900 5.978 1.260
O 11.484 6.957 21.884
O 7.887 0.489 13.010
O 12.197 7.747 10.643
O 9.317 1.757 17.865
O 11.020 4.696 22.811
O 9.445 1.478 11.484
O 11.079 4.315 6.454
O 11.062 4.229 15.743
O 9.470 1.309 3.843
O 11.111 4.093 9.221
O 9.710 1.596 20.581
```

Results
* energy with MP2020 corrections: -6.975 eV per atom
* total magnetic moment: 0.00 μB/cell
* total DFT energy (no corrections): -6.5415 eV/atom
* space group: P1 (1)
* energy of formation from the pure elements: -2490.5 meV/atom



(6)
# Na2SiH12O9

A relaxed structure of Na2SiH12O9 (PBE-GGA, Materials Project).

extended XYZ file:
```
48
Lattice="6.355 0.000 0.000 0.000 5.949 0.000 -2.357 0.000 11.204" Properties=species:S:1:pos:R:3 pbc="T T T"
Na 0.166 0.000 1.290
Na 1.883 0.169 4.074
Na 2.116 3.143 7.130
Na 3.832 2.975 9.914
Si -0.156 0.270 7.022
Si 4.154 3.245 4.182
H -0.516 1.473 3.810
H -1.179 3.002 7.336
H 0.148 2.879 1.430
H -1.017 5.448 9.725
H -0.070 2.210 5.678
H 0.525 3.620 3.286
H 0.149 4.482 5.525
H -0.018 1.345 9.625
H -0.129 1.725 11.171
H 1.994 3.619 2.580
H 0.874 3.261 9.801
H 1.066 4.719 9.134
H 2.933 1.744 2.070
H 3.124 0.287 1.403
H 2.004 0.644 8.624
H 4.128 4.700 0.033
H 4.016 4.319 1.579
H 3.850 1.507 5.679
H 3.473 0.646 7.918
H 4.068 5.185 5.527
H 5.015 2.473 1.479
H 3.851 5.854 9.775
H 5.177 0.027 3.868
H 4.514 4.447 7.394
O -1.838 5.290 10.254
O -0.599 3.046 4.448
O -0.396 0.516 3.535
O 1.063 3.983 2.518
O 0.301 1.807 6.543
O -0.240 2.100 10.261
O 0.697 5.066 6.112
O 0.345 0.125 8.562
O 2.428 0.948 1.703
O 1.571 3.922 9.502
O 3.654 3.100 2.642
O 3.302 2.091 5.092
O 4.238 5.075 0.943
O 3.698 4.782 4.661
O 2.935 1.008 8.686
O 4.394 3.490 7.670
O 4.598 0.072 6.756
O 5.837 2.315 0.951
```

Results
* energy with MP2020 corrections: -5.513 eV per atom
* total magnetic moment: 0.00 μB/cell
* total DFT energy (no corrections): -5.2553 eV/atom
* space group: P2_1 (4)
* energy of formation from the pure elements: -1624.8 meV/atom